# ErRe2 GGA-PBE relaxed
data_ErRe2
_chemical_formula_sum 'Er4 Re8'
_space_group_name_H-M_alt 'P 63/m m c'
_space_group_IT_number 194
_space_group_name_Hall '-P 6c 2c'
_cell_length_a 5.4236
_cell_length_b 5.4236
_cell_length_c 8.8003
_cell_angle_alpha 90.00
_cell_angle_beta 90.00
_cell_angle_gamma 120.00
loop_
_atom_site_label
_atom_site_fract_x
_atom_site_fract_y
_atom_site_fract_z
Er1 0.3333 0.6667 0.0629
Re1 0.0000 0.0000 0.0000
Re2 0.1718 0.3437 0.7500
# - Electronic total energy: -10.091 eV per atom
# - Energy relative to the elements: -79 kJ/mol of formula units